# 1
# KCrMo2O8 GGA+U relaxed
# raw total energy = -7.00 eV/atom
data_KCrMo2O8
_chemical_formula_sum 'K2 Cr2 Mo4 O16'
_space_group_name_H-M_alt 'P -1'
_space_group_IT_number 2
_cell_length_a 5.764
_cell_length_b 9.264
_cell_length_c 9.513
_cell_angle_alpha 117.64
_cell_angle_beta 107.62
_cell_angle_gamma 90.03
loop_
_space_group_symop_operation_xyz
'x,y,z'
'-x,-y,-z'
loop_
_atom_site_label
_atom_site_fract_x
_atom_site_fract_y
_atom_site_fract_z
K1 0.185 0.250 0.000
Cr1 0.000 0.000 0.500
Cr2 0.500 0.500 0.500
Mo1 0.120 0.735 0.699
Mo2 0.422 0.765 0.301
O1 0.053 0.820 0.558
O2 0.140 0.416 0.356
O3 0.170 0.892 0.905
O4 0.217 0.916 0.357
O5 0.266 0.608 0.094
O6 0.298 0.145 0.702
O7 0.403 0.646 0.701
O8 0.496 0.679 0.440



# 2
# KNa7V7CrO24 GGA+U relaxed
# size of the total moment = 1.00 μB/f.u.
# raw total energy = -6.47 eV/atom
data_KNa7V7CrO24
_chemical_formula_sum 'K3 Na21 V21 Cr3 O72'
_space_group_name_H-M_alt 'R 3 m'
_space_group_IT_number 160
_space_group_name_Hall 'R 3 -2"'
_cell_length_a 10.7218
_cell_length_b 10.7218
_cell_length_c 13.1340
_cell_angle_alpha 90.00
_cell_angle_beta 90.00
_cell_angle_gamma 120.00
loop_
_atom_site_label
_atom_site_fract_x
_atom_site_fract_y
_atom_site_fract_z
K1 0.0000 0.0000 0.0000
Na1 0.0000 0.0000 0.5010
Na2 0.0007 0.5003 0.5003
Na3 0.1670 0.3340 0.3340
V1 0.0000 0.0000 0.2512
V2 0.0009 0.5004 0.2503
V3 0.1671 0.3343 0.0841
Cr1 0.0000 0.0000 0.7498
O1 0.0010 0.2526 0.0010
O2 0.0839 0.1677 0.1689
O3 0.0845 0.4168 0.1666
O4 0.0846 0.1691 0.6653
O5 0.1659 0.0829 0.3340
O6 0.1712 0.0856 0.8338



The following formation energy from the elements values (in eV/atom) correspond, in order, to the records above: -2.16 -2.17.